The following is a PBE+U calculation of a relaxed MnPb2WO6 crystal, from the Materials Project.

a = 5.8068 Å, b = 5.8093 Å, c = 10.0547 Å
α = 73.28°, β = 89.96°, γ = 120.09°
Atoms (fractional coordinates):
O 0.8809 0.2364 0.8812
O 0.6181 0.7627 0.6191
O 0.1429 0.7623 0.6186
O 0.8815 0.7619 0.8812
O 0.1187 0.7625 0.1190
O 0.3571 0.2374 0.8813
O 0.8571 0.2379 0.3817
O 0.3814 0.7628 0.3811
O 0.6431 0.7614 0.1186
O 0.3816 0.2378 0.3811
O 0.1189 0.2372 0.1189
O 0.6185 0.2382 0.6188
W 0.4998 0.0002 0.5001
W 0.0002 0.9998 0.9999
Mn 0.7503 0.5001 0.7501
Mn 0.2497 0.5001 0.2499
Pb 0.8740 0.7509 0.3747
Pb 0.3767 0.7512 0.8749
Pb 0.6243 0.2491 0.1253
Pb 0.1250 0.2502 0.6247

Calculated values
energy with MP2020 corrections = -7.82 eV per atom
formation energy = -1893 meV/atom
space-group type = P-1

***

The following is a PBE+U calculation of a relaxed CsNpMoO7 crystal, from the Materials Project.

a = 8.1990 Å, b = 9.4486 Å, c = 10.5439 Å
α = 90.00°, β = 90.00°, γ = 90.00°
Atoms (fractional coordinates):
O 0.9388 0.4465 0.3401
O 0.9388 0.9465 0.6599
O 0.8633 0.6487 0.1455
O 0.2500 0.2674 0.2500
O 0.6367 0.1487 0.6455
O 0.1211 0.1345 0.0503
O 0.8633 0.1487 0.8545
O 0.3789 0.6345 0.5503
O 0.4388 0.0535 0.1599
O 0.8789 0.8655 0.9497
O 0.5612 0.9465 0.8401
O 0.6211 0.8655 0.5503
O 0.1367 0.8513 0.1455
O 0.6367 0.6487 0.3545
O 0.3633 0.3513 0.6455
O 0.3789 0.1345 0.4497
O 0.0612 0.0535 0.3401
O 0.1367 0.3513 0.8545
O 0.4388 0.5535 0.8401
O 0.6211 0.3655 0.4497
O 0.5612 0.4465 0.1599
O 0.2500 0.7674 0.7500
O 0.7500 0.7326 0.7500
O 0.0612 0.5535 0.6599
O 0.3633 0.8513 0.3545
O 0.1211 0.6345 0.9497
O 0.7500 0.2326 0.2500
O 0.8789 0.3655 0.0503
Np 0.7500 0.4310 0.2500
Np 0.7500 0.9310 0.7500
Np 0.2500 0.5690 0.7500
Np 0.2500 0.0690 0.2500
Mo 0.0000 0.2500 0.9541
Mo 0.5000 0.2500 0.5459
Mo 0.0000 0.7500 0.0459
Mo 0.5000 0.7500 0.4541
Cs 0.5000 0.2500 0.9331
Cs 0.5000 0.7500 0.0669
Cs 0.0000 0.7500 0.4331
Cs 0.0000 0.2500 0.5669

Calculated values
energy with MP2020 corrections = -8.44 eV per atom
formation energy = -2503 meV/atom
space-group type = Pnna

***

The following is a PBE+U calculation of a relaxed Li3Fe8B8O24 crystal, from the Materials Project.

a = 5.2357 Å, b = 9.1074 Å, c = 10.1820 Å
α = 89.59°, β = 89.24°, γ = 89.59°
Atoms (fractional coordinates):
Fe 0.6697 0.9963 0.1301
Fe 0.3299 0.9921 0.8780
Fe 0.1617 0.8301 0.6292
Fe 0.8304 0.1540 0.3846
Fe 0.3328 0.6694 0.3743
Fe 0.6543 0.3494 0.6304
Fe 0.8302 0.4981 0.8830
Fe 0.1830 0.5055 0.1256
O 0.9177 0.5023 0.6847
O 0.0782 0.1410 0.8573
O 0.0932 0.4990 0.3447
O 0.8134 0.8791 0.6390
O 0.7175 0.3646 0.4162
O 0.2221 0.7974 0.8274
O 0.2064 0.1280 0.3698
O 0.6675 0.0533 0.9286
O 0.7085 0.2973 0.8408
O 0.9067 0.8451 0.1262
O 0.7821 0.1355 0.5939
O 0.2575 0.6309 0.5755
O 0.5834 0.9920 0.3218
O 0.8211 0.4388 0.0768
O 0.2798 0.3675 0.6020
O 0.5905 0.6515 0.8765
O 0.8169 0.1924 0.1604
O 0.2926 0.7176 0.1825
O 0.2401 0.8714 0.4345
O 0.6799 0.6196 0.3677
O 0.3057 0.9595 0.0815
O 0.4205 0.3260 0.1440
O 0.4060 0.0047 0.6707
O 0.1752 0.5580 0.9237
B 0.6721 0.0044 0.6337
B 0.8276 0.4965 0.3752
B 0.3410 0.9986 0.3769
B 0.6785 0.3227 0.1255
B 0.1628 0.8368 0.1315
B 0.3354 0.6653 0.8761
B 0.1516 0.4985 0.6225
B 0.8198 0.1665 0.8762
Li 0.1870 0.1698 0.1597
Li 0.1484 0.1790 0.6634
Li 0.3302 0.3347 0.3989

Calculated values
energy with MP2020 corrections = -7.95 eV per atom
formation energy = -2241 meV/atom
relative energy among the computed polymorphs = 14 meV/atom
space-group type = P1

***

The following is a PBE+U calculation of a relaxed SrSmEuNiO6 crystal, from the Materials Project.

a = 5.7687 Å, b = 5.7687 Å, c = 5.7687 Å
α = 60.00°, β = 60.00°, γ = 60.00°
Atoms (fractional coordinates):
Ni 0.0000 0.0000 0.0000
O 0.2274 0.7726 0.7726
O 0.2274 0.7726 0.2274
O 0.7726 0.2274 0.7726
O 0.2274 0.2274 0.7726
O 0.7726 0.2274 0.2274
O 0.7726 0.7726 0.2274
Sm 0.5000 0.5000 0.5000
Sr 0.7500 0.7500 0.7500
Eu 0.2500 0.2500 0.2500

Calculated values
energy with MP2020 corrections = -7.67 eV per atom
formation energy = -2454 meV/atom
space-group type = F-43m

***

The following is a PBE+U calculation of a relaxed TiMn2O6 crystal, from the Materials Project.

a = 5.1028 Å, b = 5.1028 Å, c = 9.7001 Å
α = 90.00°, β = 90.00°, γ = 120.08°
Atoms (fractional coordinates):
O 0.0000 0.3391 0.9007
O 0.5000 0.8391 0.5993
O 0.8391 0.5000 0.5993
O 0.8395 0.8395 0.4003
O 0.0000 0.6609 0.0993
O 0.1605 0.1605 0.5997
O 0.3391 0.0000 0.9007
O 0.3395 0.3395 0.0997
O 0.6605 0.6605 0.9003
O 0.6609 0.0000 0.0993
O 0.5000 0.1609 0.4007
O 0.1609 0.5000 0.4007
Ti 0.0000 0.0000 0.0000
Ti 0.5000 0.5000 0.5000
Mn 0.6667 0.3333 0.0000
Mn 0.3333 0.6667 0.0000
Mn 0.8333 0.1667 0.5000
Mn 0.1667 0.8333 0.5000

Calculated values
energy with MP2020 corrections = -8.49 eV per atom
formation energy = -2279 meV/atom
relative energy among the computed polymorphs = 7 meV/atom
space-group type = Cmce

***

The following is a PBE+U calculation of a relaxed Ho2MnRuO7 crystal, from the Materials Project.

a = 7.1820 Å, b = 7.1820 Å, c = 7.1820 Å
α = 120.27°, β = 119.84°, γ = 89.91°
Atoms (fractional coordinates):
O 0.1603 0.9103 0.2500
O 0.8324 0.6627 0.7475
O 0.4153 0.0850 0.7525
O 0.1676 0.3373 0.2525
O 0.8743 0.6243 0.2500
O 0.4153 0.6627 0.3303
O 0.1676 0.9150 0.8303
O 0.8397 0.0897 0.7500
O 0.1257 0.3757 0.7500
O 0.5818 0.3318 0.2500
O 0.5847 0.3373 0.6697
O 0.5847 0.9150 0.2475
O 0.8324 0.0850 0.1697
O 0.4182 0.6682 0.7500
Mn 0.5000 0.5000 0.5000
Mn 0.5000 0.0000 0.0000
Ho 0.0000 0.5000 0.5000
Ho 0.0000 0.0000 0.5000
Ho 0.0000 0.5000 0.0000
Ho 0.5000 0.5000 0.0000
Ru 0.0000 0.0000 0.0000
Ru 0.5000 0.0000 0.5000

Calculated values
energy with MP2020 corrections = -8.41 eV per atom
formation energy = -2757 meV/atom
space-group type = Imma

***

The following is a PBE+U calculation of a relaxed Ba2LiSmCoCu2O7 crystal, from the Materials Project.

a = 3.8309 Å, b = 4.1107 Å, c = 12.7972 Å
α = 90.00°, β = 90.00°, γ = 90.00°
Atoms (fractional coordinates):
Li 0.5000 0.0000 0.2652
O 0.5000 0.0000 0.4041
O 0.0000 0.0000 0.8386
O 0.0000 0.5000 0.6303
O 0.0000 0.5000 0.9799
O 0.0000 0.0000 0.1331
O 0.0000 0.5000 0.3925
O 0.5000 0.0000 0.6270
Cu 0.0000 0.0000 0.6379
Cu 0.0000 0.0000 0.3991
Ba 0.5000 0.5000 0.7976
Ba 0.5000 0.5000 0.1126
Sm 0.5000 0.5000 0.5094
Co 0.0000 0.0000 0.9781

Calculated values
energy with MP2020 corrections = -6.35 eV per atom
formation energy = -2035 meV/atom
relative energy among the computed polymorphs = 76 meV/atom
space-group type = Pmm2

***

The following is a PBE+U calculation of a relaxed LiCoPO4 crystal, from the Materials Project.

a = 5.7571 Å, b = 7.6494 Å, c = 13.9075 Å
α = 90.00°, β = 90.00°, γ = 90.00°
Atoms (fractional coordinates):
O 0.0295 0.8707 0.6376
O 0.6638 0.6134 0.7270
O 0.6802 0.0211 0.5610
O 0.8362 0.1134 0.7270
O 0.4705 0.1293 0.1376
O 0.4410 0.6882 0.5774
O 0.8198 0.5211 0.5610
O 0.0590 0.3118 0.0774
O 0.1802 0.0211 0.9390
O 0.5590 0.1882 0.9226
O 0.6802 0.4789 0.0610
O 0.5295 0.8707 0.8624
O 0.0590 0.1882 0.5774
O 0.1638 0.8866 0.2730
O 0.4410 0.8118 0.0774
O 0.3362 0.3866 0.2730
O 0.9705 0.3707 0.8624
O 0.1802 0.4789 0.4390
O 0.5295 0.6293 0.3624
O 0.9410 0.8118 0.4226
O 0.5590 0.3118 0.4226
O 0.9410 0.6882 0.9226
O 0.3362 0.1134 0.7730
O 0.1638 0.6134 0.7730
O 0.6638 0.8866 0.2270
O 0.8362 0.3866 0.2270
O 0.4705 0.3707 0.6376
O 0.0295 0.6293 0.1376
O 0.9705 0.1293 0.3624
O 0.3198 0.5211 0.9390
O 0.8198 0.9789 0.0610
O 0.3198 0.9789 0.4390
Li 0.6507 0.1963 0.2783
Li 0.1507 0.3037 0.7217
Li 0.1507 0.1963 0.2217
Li 0.3493 0.8037 0.7217
Li 0.3493 0.6963 0.2217
Li 0.6507 0.3037 0.7783
Li 0.8493 0.6963 0.2783
Li 0.8493 0.8037 0.7783
P 0.1021 0.5466 0.8726
P 0.1021 0.9534 0.3726
P 0.8979 0.4534 0.1274
P 0.6021 0.5466 0.6274
P 0.6021 0.9534 0.1274
P 0.8979 0.0466 0.6274
P 0.3979 0.4534 0.3726
P 0.3979 0.0466 0.8726
Co 0.9050 0.1834 0.9601
Co 0.0950 0.8166 0.0399
Co 0.4050 0.1834 0.5399
Co 0.5950 0.6834 0.9601
Co 0.0950 0.6834 0.5399
Co 0.9050 0.3166 0.4601
Co 0.4050 0.3166 0.0399
Co 0.5950 0.8166 0.4601

Calculated values
energy with MP2020 corrections = -7.23 eV per atom
formation energy = -2337 meV/atom
relative energy among the computed polymorphs = 71 meV/atom
space-group type = Pbca

***

The following is a PBE+U calculation of a relaxed TiFe3Sn2P6O24 crystal, from the Materials Project.

a = 8.9252 Å, b = 8.9252 Å, c = 8.9252 Å
α = 58.15°, β = 58.15°, γ = 58.15°
Atoms (fractional coordinates):
O 0.7030 0.4903 0.8839
O 0.7690 0.4195 0.5536
O 0.2326 0.5816 0.4399
O 0.3017 0.5056 0.1160
O 0.1160 0.3017 0.5056
O 0.2010 0.3742 0.0023
O 0.0023 0.2010 0.3742
O 0.5536 0.7690 0.4195
O 0.9218 0.2748 0.0660
O 0.5816 0.4399 0.2326
O 0.0809 0.7240 0.9381
O 0.2748 0.0660 0.9218
O 0.4903 0.8839 0.7029
O 0.9381 0.0809 0.7240
O 0.5056 0.1160 0.3017
O 0.7973 0.6209 0.0071
O 0.6209 0.0071 0.7973
O 0.4399 0.2326 0.5816
O 0.0660 0.9218 0.2748
O 0.0071 0.7973 0.6209
O 0.8839 0.7030 0.4903
O 0.7240 0.9381 0.0809
O 0.3742 0.0023 0.2010
O 0.4195 0.5536 0.7690
P 0.9601 0.2495 0.5385
P 0.4616 0.0410 0.7516
P 0.2495 0.5385 0.9601
P 0.0410 0.7516 0.4616
P 0.5385 0.9601 0.2495
P 0.7516 0.4616 0.0410
Fe 0.8510 0.8510 0.8510
Fe 0.6493 0.6493 0.6493
Fe 0.3514 0.3514 0.3514
Sn 0.9954 0.9954 0.9954
Sn 0.4993 0.4993 0.4993
Ti 0.1464 0.1464 0.1464

Calculated values
energy with MP2020 corrections = -7.81 eV per atom
formation energy = -2463 meV/atom
space-group type = R3

***

The following is a PBE+U calculation of a relaxed Li11Mn11O26 crystal, from the Materials Project.

a = 5.1558 Å, b = 5.1558 Å, c = 68.2194 Å
α = 32.43°, β = 32.43°, γ = 32.09°
Atoms (fractional coordinates):
O 0.7748 0.7748 0.7436
O 0.2135 0.2135 0.3364
O 0.2525 0.2525 0.0188
O 0.2675 0.2675 0.6341
O 0.8493 0.8493 0.0485
O 0.2822 0.2822 0.7078
O 0.7890 0.7890 0.8170
O 0.7589 0.7589 0.6695
O 0.8102 0.8102 0.8894
O 0.2279 0.2279 0.4865
O 0.1049 0.1049 0.1146
O 0.7347 0.7347 0.5202
O 0.3216 0.3216 0.8545
O 0.6879 0.6879 0.3709
O 0.6940 0.6940 0.2151
O 0.2080 0.2080 0.2608
O 0.8443 0.8443 0.9624
O 0.7463 0.7463 0.5953
O 0.3381 0.3381 0.9293
O 0.7157 0.7157 0.4450
O 0.1847 0.1847 0.1856
O 0.3000 0.3000 0.7815
O 0.6678 0.6678 0.1390
O 0.2493 0.2493 0.5604
O 0.6894 0.6894 0.2939
O 0.2082 0.2082 0.4126
Mn 0.9931 0.9931 0.5401
Mn 0.0391 0.0391 0.7622
Mn 0.9617 0.9617 0.1558
Mn 0.9692 0.9692 0.2355
Mn 0.0464 0.0464 0.8372
Mn 0.9645 0.9645 0.3891
Mn 0.0078 0.0078 0.6145
Mn 0.0252 0.0252 0.9175
Mn 0.9680 0.9680 0.3127
Mn 0.0169 0.0169 0.6894
Mn 0.9705 0.9705 0.4661
Li 0.8747 0.8747 0.0743
Li 0.5143 0.5143 0.8806
Li 0.0780 0.0780 0.0898
Li 0.9850 0.9850 0.0042
Li 0.4287 0.4287 0.9714
Li 0.5054 0.5054 0.5765
Li 0.5199 0.5199 0.7271
Li 0.5274 0.5274 0.8022
Li 0.5100 0.5100 0.6523
Li 0.5084 0.5084 0.4985
Li 0.5421 0.5421 0.4159

Calculated values
energy with MP2020 corrections = -7.08 eV per atom
formation energy = -1865 meV/atom
space-group type = Cm

***

The following is a PBE+U calculation of a relaxed MgCo3BiO8 crystal, from the Materials Project.

a = 5.9489 Å, b = 6.1510 Å, c = 6.0580 Å
α = 61.15°, β = 116.32°, γ = 121.16°
Atoms (fractional coordinates):
Mg 0.5000 0.0000 0.5000
O 0.7264 0.7326 0.7588
O 0.2886 0.7674 0.2473
O 0.7168 0.7231 0.2066
O 0.7114 0.2326 0.7527
O 0.3059 0.7377 0.8156
O 0.2832 0.2769 0.7934
O 0.2736 0.2674 0.2412
O 0.6941 0.2623 0.1844
Bi 0.5000 0.5000 0.5000
Co 0.0000 0.5000 0.0000
Co 0.5000 0.0000 0.0000
Co 0.5000 0.5000 0.0000

Calculated values
energy with MP2020 corrections = -6.51 eV per atom
formation energy = -1403 meV/atom
relative energy among the computed polymorphs = 93 meV/atom
space-group type = P-1

***

The following is a PBE+U calculation of a relaxed Li4CrFe3O8 crystal, from the Materials Project.

a = 5.9889 Å, b = 5.9889 Å, c = 5.1686 Å
α = 73.24°, β = 73.24°, γ = 59.72°
Atoms (fractional coordinates):
O 0.8648 0.3628 0.7581
O 0.3853 0.3853 0.7421
O 0.1352 0.6372 0.2419
O 0.3628 0.8648 0.7581
O 0.6372 0.1352 0.2419
O 0.1135 0.1135 0.2554
O 0.8865 0.8865 0.7446
O 0.6147 0.6147 0.2579
Fe 0.7502 0.2498 0.5000
Fe 0.2498 0.7502 0.5000
Fe 0.5000 0.5000 0.0000
Li 0.7506 0.7506 0.4979
Li 0.0000 0.5000 0.0000
Li 0.2494 0.2494 0.5021
Li 0.5000 0.0000 0.0000
Cr 0.0000 0.0000 0.0000

Calculated values
energy with MP2020 corrections = -7.20 eV per atom
formation energy = -2057 meV/atom
relative energy among the computed polymorphs = 0 meV/atom
space-group type = C2/m